Below is a relaxed structure of Na10Zn4O9, with properties calculated at the r2SCAN level.

Summary:
formation energy from the elements: -1.548 eV per atom
V: 12.9 A^3/atom
total energy: -6.9847 eV per atom
size of the total moment: 0.0 Bohr magnetons per cell

Structure (CIF):
```
data_Na10Zn4O9
_cell_length_a 13.4259
_cell_length_b 10.7083
_cell_length_c 8.5597
_cell_angle_alpha 90.00
_cell_angle_beta 105.86
_cell_angle_gamma 90.00
_space_group_name_H-M_alt 'C 1 2 1'
_space_group_IT_number 5
loop_
_space_group_symop_operation_xyz
'x,y,z'
'-x,y,-z'
'x+1/2,y+1/2,z'
'-x+1/2,y+1/2,-z'
loop_
_atom_site_label
_atom_site_fract_x
_atom_site_fract_y
_atom_site_fract_z
Na1 0.0000 0.0000 0.0000
Na2 0.0000 0.0753 0.5000
Na3 0.0000 0.3016 0.0000
Na4 0.0000 0.5382 0.5000
Na5 0.0628 0.5884 0.2110
Na6 0.1234 0.7956 0.0616
Na7 0.1248 0.1002 0.2926
Na8 0.1271 0.9444 0.7763
Na9 0.1423 0.6685 0.7759
Na10 0.2052 0.4552 0.6310
Na11 0.2242 0.1368 0.6251
Na12 0.2240 0.3301 0.3619
Zn1 0.0314 0.2973 0.6694
Zn2 0.0831 0.8090 0.4052
Zn3 0.1792 0.1532 0.9670
Zn4 0.1854 0.4511 0.9700
O1 0.0092 0.7958 0.8055
O2 0.0442 0.1450 0.8050
O3 0.0656 0.4585 0.7763
O4 0.1079 0.2828 0.4950
O5 0.1456 0.9583 0.5074
O6 0.1476 0.6553 0.5059
O7 0.1871 0.9961 0.1053
O8 0.1991 0.6039 0.1090
O9 0.2061 0.3007 0.1033
```


Below is a relaxed structure of ErMg3, with properties calculated at the r2SCAN level.

Summary:
formation energy from the elements: -0.044 eV per atom
V: 24.4 A^3/atom
total energy: -11.6523 eV per atom
size of the total moment: 0.0 Bohr magnetons per cell

Structure (CIF):
```
data_ErMg3
_cell_length_a 6.6133
_cell_length_b 6.6133
_cell_length_c 5.1471
_cell_angle_alpha 90.00
_cell_angle_beta 90.00
_cell_angle_gamma 120.00
_space_group_name_H-M_alt 'P 63/m m c'
_space_group_IT_number 194
_space_group_name_Hall '-P 6c 2c'
loop_
_atom_site_label
_atom_site_fract_x
_atom_site_fract_y
_atom_site_fract_z
Er1 0.3333 0.6667 0.2500
Mg1 0.1638 0.3276 0.7500
```


Below is a relaxed structure of Ti5Se4, with properties calculated at the r2SCAN level.

Summary:
formation energy from the elements: -1.165 eV per atom
V: 18.3 A^3/atom
total energy: -14.7135 eV per atom
size of the total moment: 0.0 Bohr magnetons per cell

Structure (CIF):
```
data_Ti5Se4
_cell_length_a 9.6900
_cell_length_b 9.6900
_cell_length_c 3.5012
_cell_angle_alpha 90.00
_cell_angle_beta 90.00
_cell_angle_gamma 90.00
_space_group_name_H-M_alt 'I 4/m'
_space_group_IT_number 87
_space_group_name_Hall '-I 4'
loop_
_atom_site_label
_atom_site_fract_x
_atom_site_fract_y
_atom_site_fract_z
Ti1 0.0000 0.0000 0.0000
Ti2 0.1278 0.1936 0.5000
Se1 0.0582 0.7285 0.0000
```


Below is a relaxed structure of ZrUC2, with properties calculated at the r2SCAN level.

Summary:
formation energy from the elements: -0.657 eV per atom
V: 14.1 A^3/atom
total energy: -31.3040 eV per atom
size of the total moment: 0.0 Bohr magnetons per cell

Structure (CIF):
```
data_ZrUC2
_cell_length_a 3.3908
_cell_length_b 3.3908
_cell_length_c 16.9729
_cell_angle_alpha 90.00
_cell_angle_beta 90.00
_cell_angle_gamma 120.00
_space_group_name_H-M_alt 'R -3 m'
_space_group_IT_number 166
_space_group_name_Hall '-R 3 2"'
loop_
_atom_site_label
_atom_site_fract_x
_atom_site_fract_y
_atom_site_fract_z
Zr1 0.0000 0.0000 0.0000
U1 0.0000 0.0000 0.5000
C1 0.0000 0.0000 0.2507
```


Below is a relaxed structure of Se2O5, with properties calculated at the r2SCAN level.

Summary:
formation energy from the elements: -0.535 eV per atom
V: 15.6 A^3/atom
total energy: -8.8905 eV per atom
size of the total moment: 0.0 Bohr magnetons per cell

Structure (CIF):
```
data_Se2O5
_cell_length_a 4.5822
_cell_length_b 6.9738
_cell_length_c 13.7229
_cell_angle_alpha 90.00
_cell_angle_beta 92.28
_cell_angle_gamma 90.00
_space_group_name_H-M_alt 'P 1 21/c 1'
_space_group_IT_number 14
loop_
_space_group_symop_operation_xyz
'x,y,z'
'-x,-y,-z'
'-x,y+1/2,-z+1/2'
'x,-y+1/2,z+1/2'
loop_
_atom_site_label
_atom_site_fract_x
_atom_site_fract_y
_atom_site_fract_z
Se1 0.9996 0.2136 0.1285
Se2 0.1468 0.2394 0.8597
O1 0.2015 0.1642 0.0380
O2 0.2023 0.7470 0.6425
O3 0.2067 0.5987 0.8774
O4 0.2315 0.5264 0.3459
O5 0.2422 0.2213 0.2282
```


Below is a relaxed structure of BeSiNi2, with properties calculated at the r2SCAN level.

Summary:
formation energy from the elements: -0.515 eV per atom
V: 9.8 A^3/atom
total energy: -9.7839 eV per atom
size of the total moment: 0.0 Bohr magnetons per cell

Structure (CIF):
```
data_BeSiNi2
_cell_length_a 5.3918
_cell_length_b 5.3918
_cell_length_c 5.3918
_cell_angle_alpha 90.00
_cell_angle_beta 90.00
_cell_angle_gamma 90.00
_space_group_name_H-M_alt 'F m -3 m'
_space_group_IT_number 225
_space_group_name_Hall '-F 4 2 3'
loop_
_atom_site_label
_atom_site_fract_x
_atom_site_fract_y
_atom_site_fract_z
Be1 0.0000 0.0000 0.0000
Si1 0.0000 0.0000 0.5000
Ni1 0.2500 0.2500 0.2500
```


Below is a relaxed structure of BaFe2P2, with properties calculated at the r2SCAN level.

Summary:
formation energy from the elements: -0.685 eV per atom
V: 17.8 A^3/atom
total energy: -15.3512 eV per atom
size of the total moment: 0.0 Bohr magnetons per cell

Structure (CIF):
```
data_BaFe2P2
_cell_length_a 3.7940
_cell_length_b 3.7940
_cell_length_c 12.3806
_cell_angle_alpha 90.00
_cell_angle_beta 90.00
_cell_angle_gamma 90.00
_space_group_name_H-M_alt 'I 4/m m m'
_space_group_IT_number 139
_space_group_name_Hall '-I 4 2'
loop_
_atom_site_label
_atom_site_fract_x
_atom_site_fract_y
_atom_site_fract_z
Ba1 0.0000 0.0000 0.0000
Fe1 0.0000 0.5000 0.2500
P1 0.0000 0.0000 0.3368
```


Below is a relaxed structure of InNi2Sn, with properties calculated at the r2SCAN level.

Summary:
formation energy from the elements: -0.207 eV per atom
V: 17.0 A^3/atom
total energy: -18.0290 eV per atom
size of the total moment: 0.0 Bohr magnetons per cell

Structure (CIF):
```
data_InNi2Sn
_cell_length_a 4.3687
_cell_length_b 5.1786
_cell_length_c 9.0230
_cell_angle_alpha 90.00
_cell_angle_beta 90.00
_cell_angle_gamma 90.00
_space_group_name_H-M_alt 'P m m 2'
_space_group_IT_number 25
loop_
_space_group_symop_operation_xyz
'x,y,z'
'-x,-y,z'
'-x,y,z'
'x,-y,z'
loop_
_atom_site_label
_atom_site_fract_x
_atom_site_fract_y
_atom_site_fract_z
In1 0.0000 0.0000 0.0000
In2 0.0000 0.0000 0.3311
In3 0.0000 0.5000 0.4973
Ni1 0.5000 0.0000 0.1649
Ni2 0.5000 0.2501 0.4153
Ni3 0.5000 0.2511 0.9136
Ni4 0.5000 0.5000 0.6661
Sn1 0.0000 0.5000 0.8312
Sn2 0.5000 0.0000 0.6627
Sn3 0.5000 0.5000 0.1664
```


Below is a relaxed structure of LuHfCo2, with properties calculated at the r2SCAN level.

Summary:
formation energy from the elements: -0.338 eV per atom
V: 16.5 A^3/atom
total energy: -27.7633 eV per atom
size of the total moment: 5.1 Bohr magnetons per cell

Structure (CIF):
```
data_LuHfCo2
_cell_length_a 6.4112
_cell_length_b 6.4112
_cell_length_c 6.4112
_cell_angle_alpha 90.00
_cell_angle_beta 90.00
_cell_angle_gamma 90.00
_space_group_name_H-M_alt 'F m -3 m'
_space_group_IT_number 225
_space_group_name_Hall '-F 4 2 3'
loop_
_atom_site_label
_atom_site_fract_x
_atom_site_fract_y
_atom_site_fract_z
Lu1 0.0000 0.0000 0.0000
Hf1 0.0000 0.0000 0.5000
Co1 0.2500 0.2500 0.2500
```


Below is a relaxed structure of KNdO2, with properties calculated at the r2SCAN level.

Summary:
formation energy from the elements: -2.860 eV per atom
V: 17.7 A^3/atom
total energy: -14.7055 eV per atom
size of the total moment: 0.0 Bohr magnetons per cell

Structure (CIF):
```
data_KNdO2
_cell_length_a 3.6148
_cell_length_b 3.6148
_cell_length_c 12.5369
_cell_angle_alpha 90.00
_cell_angle_beta 90.00
_cell_angle_gamma 120.00
_space_group_name_H-M_alt 'P 63/m m c'
_space_group_IT_number 194
_space_group_name_Hall '-P 6c 2c'
loop_
_atom_site_label
_atom_site_fract_x
_atom_site_fract_y
_atom_site_fract_z
K1 0.3333 0.6667 0.2500
Nd1 0.0000 0.0000 0.0000
O1 0.3333 0.6667 0.5963
```


Below is a relaxed structure of Tb4Ga12Pt, with properties calculated at the r2SCAN level.

Summary:
formation energy from the elements: -0.693 eV per atom
V: 18.5 A^3/atom
total energy: -19.1464 eV per atom
size of the total moment: 0.0 Bohr magnetons per cell

Structure (CIF):
```
data_Tb4Ga12Pt
_cell_length_a 8.5685
_cell_length_b 8.5685
_cell_length_c 8.5685
_cell_angle_alpha 90.00
_cell_angle_beta 90.00
_cell_angle_gamma 90.00
_space_group_name_H-M_alt 'I m -3 m'
_space_group_IT_number 229
_space_group_name_Hall '-I 4 2 3'
loop_
_atom_site_label
_atom_site_fract_x
_atom_site_fract_y
_atom_site_fract_z
Tb1 0.2500 0.2500 0.2500
Ga1 0.0000 0.0000 0.2979
Ga2 0.0000 0.2500 0.5000
Pt1 0.0000 0.0000 0.0000
```


Below is a relaxed structure of HoFeO3, with properties calculated at the r2SCAN level.

Summary:
formation energy from the elements: -2.803 eV per atom
V: 11.2 A^3/atom
total energy: -15.8452 eV per atom
size of the total moment: 20.0 Bohr magnetons per cell

Structure (CIF):
```
data_HoFeO3
_cell_length_a 5.6006
_cell_length_b 7.6068
_cell_length_c 5.2564
_cell_angle_alpha 90.00
_cell_angle_beta 90.00
_cell_angle_gamma 90.00
_space_group_name_H-M_alt 'P n m a'
_space_group_IT_number 62
loop_
_space_group_symop_operation_xyz
'x,y,z'
'-x,-y,-z'
'-x+1/2,-y,z+1/2'
'x+1/2,y,-z+1/2'
'x+1/2,-y+1/2,-z+1/2'
'-x+1/2,y+1/2,z+1/2'
'-x,y+1/2,-z'
'x,-y+1/2,z'
loop_
_atom_site_label
_atom_site_fract_x
_atom_site_fract_y
_atom_site_fract_z
Ho1 0.0718 0.2500 0.0196
Fe1 0.0000 0.0000 0.5000
O1 0.0439 0.7500 0.3810
O2 0.1924 0.5605 0.8109
```


Question: The highest V belongs to which entry?
Answer: ErMg3


Question: Which value of formation energy from the elements does entry 6 give?
Answer: -0.515 eV per atom


Please write out number 9 again, unchanged.
Below is a relaxed structure of LuHfCo2, with properties calculated at the r2SCAN level.

Summary:
formation energy from the elements: -0.338 eV per atom
V: 16.5 A^3/atom
total energy: -27.7633 eV per atom
size of the total moment: 5.1 Bohr magnetons per cell

Structure (CIF):
```
data_LuHfCo2
_cell_length_a 6.4112
_cell_length_b 6.4112
_cell_length_c 6.4112
_cell_angle_alpha 90.00
_cell_angle_beta 90.00
_cell_angle_gamma 90.00
_space_group_name_H-M_alt 'F m -3 m'
_space_group_IT_number 225
_space_group_name_Hall '-F 4 2 3'
loop_
_atom_site_label
_atom_site_fract_x
_atom_site_fract_y
_atom_site_fract_z
Lu1 0.0000 0.0000 0.0000
Hf1 0.0000 0.0000 0.5000
Co1 0.2500 0.2500 0.2500
```


Question: What is the size of the total moment in the tenth record?
Answer: 0.0 Bohr magnetons per cell